Record 1
{"formula": "Mn5VO8", "functional": "PBE with a Hubbard U", "state": "optimized geometry", "lattice_angstrom": [[9.953, -3.159, 0.000], [9.953, 3.159, 0.000], [-0.974, 0.000, 5.424]], "species": ["Mn", "Mn", "Mn", "Mn", "Mn", "Mn", "Mn", "Mn", "Mn", "Mn", "V", "V", "O", "O", "O", "O", "O", "O", "O", "O", "O", "O", "O", "O", "O", "O", "O", "O"], "fractional_positions": [[0.000, 0.000, 0.000], [0.111, 0.624, 0.744], [0.248, 0.752, 0.500], [0.368, 0.368, 0.240], [0.376, 0.889, 0.256], [0.500, 0.500, 0.000], [0.624, 0.111, 0.744], [0.632, 0.632, 0.760], [0.752, 0.248, 0.500], [0.889, 0.376, 0.256], [0.214, 0.214, 0.805], [0.786, 0.786, 0.195], [0.041, 0.592, 0.362], [0.056, 0.056, 0.325], [0.186, 0.186, 0.088], [0.220, 0.666, 0.106], [0.306, 0.306, 0.864], [0.334, 0.780, 0.894], [0.408, 0.959, 0.638], [0.430, 0.430, 0.607], [0.570, 0.570, 0.393], [0.592, 0.041, 0.362], [0.666, 0.220, 0.106], [0.694, 0.694, 0.136], [0.780, 0.334, 0.894], [0.814, 0.814, 0.912], [0.944, 0.944, 0.675], [0.959, 0.408, 0.638]], "formation_energy_ev_per_fu": -29.95, "crystal_system": "monoclinic", "spacegroup": "C2/m (12)", "energy_mp2020_ev_per_fu": -124.43}

Record 2
{"formula": "MnV3O8", "functional": "PBE with a Hubbard U", "state": "optimized geometry", "lattice_angstrom": [[5.691, 0.000, 0.000], [-0.059, 5.702, 0.000], [-0.042, -0.036, 7.579]], "species": ["Mn", "V", "V", "V", "O", "O", "O", "O", "O", "O", "O", "O"], "fractional_positions": [[0.000, 0.000, 0.000], [0.369, 0.483, 0.499], [0.497, 0.983, 0.743], [0.867, 0.503, 0.252], [0.066, 0.440, 0.431], [0.337, 0.939, 0.929], [0.401, 0.785, 0.571], [0.448, 0.280, 0.670], [0.570, 0.431, 0.321], [0.785, 0.943, 0.787], [0.892, 0.790, 0.202], [0.938, 0.337, 0.074]], "formation_energy_ev_per_fu": -27.73, "crystal_system": "triclinic", "spacegroup": "P1 (1)", "energy_mp2020_ev_per_fu": -103.72}

Record 3
{"formula": "Mn2V2O7", "functional": "PBE with a Hubbard U", "state": "optimized geometry", "lattice_angstrom": [[3.270, -4.493, 0.000], [3.270, 4.493, 0.000], [-1.071, 0.000, 4.987]], "species": ["Mn", "Mn", "V", "V", "O", "O", "O", "O", "O", "O", "O"], "fractional_positions": [[0.187, 0.813, 0.000], [0.813, 0.187, 0.000], [0.255, 0.255, 0.604], [0.745, 0.745, 0.396], [0.080, 0.080, 0.283], [0.108, 0.432, 0.793], [0.432, 0.108, 0.793], [0.500, 0.500, 0.500], [0.568, 0.892, 0.207], [0.892, 0.568, 0.207], [0.920, 0.920, 0.717]], "formation_energy_ev_per_fu": -25.52, "crystal_system": "monoclinic", "spacegroup": "C2/m (12)", "energy_mp2020_ev_per_fu": -96.65}

Record 4
{"formula": "MnV2O4", "functional": "PBE with a Hubbard U", "state": "optimized geometry", "lattice_angstrom": [[0.000, 4.351, 4.351], [4.351, 0.000, 4.351], [4.351, 4.351, 0.000]], "species": ["Mn", "Mn", "V", "V", "V", "V", "O", "O", "O", "O", "O", "O", "O", "O"], "fractional_positions": [[0.125, 0.125, 0.125], [0.875, 0.875, 0.875], [0.000, 0.500, 0.500], [0.500, 0.000, 0.500], [0.500, 0.500, 0.000], [0.500, 0.500, 0.500], [0.262, 0.262, 0.262], [0.262, 0.262, 0.713], [0.262, 0.713, 0.262], [0.287, 0.738, 0.738], [0.713, 0.262, 0.262], [0.738, 0.287, 0.738], [0.738, 0.738, 0.287], [0.738, 0.738, 0.738]], "formation_energy_ev_per_fu": -16.26, "crystal_system": "cubic", "spacegroup": "Fd-3m (227)", "energy_mp2020_ev_per_fu": -63.38}

Record 5
{"formula": "MnV2O4", "functional": "PBE with a Hubbard U", "state": "optimized geometry", "lattice_angstrom": [[9.263, 0.000, 0.000], [0.000, 3.007, 0.000], [0.000, 0.000, 10.710]], "species": ["Mn", "Mn", "Mn", "Mn", "V", "V", "V", "V", "V", "V", "V", "V", "O", "O", "O", "O", "O", "O", "O", "O", "O", "O", "O", "O", "O", "O", "O", "O"], "fractional_positions": [[0.248, 0.250, 0.150], [0.252, 0.750, 0.650], [0.748, 0.250, 0.350], [0.752, 0.750, 0.850], [0.066, 0.250, 0.382], [0.084, 0.250, 0.896], [0.416, 0.750, 0.396], [0.434, 0.750, 0.882], [0.566, 0.250, 0.118], [0.584, 0.250, 0.604], [0.916, 0.750, 0.104], [0.934, 0.750, 0.618], [0.026, 0.750, 0.784], [0.086, 0.250, 0.572], [0.123, 0.750, 0.027], [0.208, 0.750, 0.324], [0.292, 0.250, 0.824], [0.377, 0.250, 0.527], [0.414, 0.750, 0.072], [0.474, 0.250, 0.284], [0.526, 0.750, 0.716], [0.586, 0.250, 0.928], [0.623, 0.750, 0.473], [0.708, 0.750, 0.176], [0.792, 0.250, 0.676], [0.877, 0.250, 0.973], [0.914, 0.750, 0.428], [0.974, 0.250, 0.216]], "formation_energy_ev_per_fu": -16.27, "crystal_system": "orthorhombic", "spacegroup": "Pnma (62)", "energy_mp2020_ev_per_fu": -63.39}

Record 6
{"formula": "Mn2V2O7", "functional": "PBE with a Hubbard U", "state": "optimized geometry", "lattice_angstrom": [[3.285, -4.481, 0.000], [3.285, 4.481, 0.000], [-1.086, 0.000, 4.978]], "species": ["Mn", "Mn", "V", "V", "O", "O", "O", "O", "O", "O", "O"], "fractional_positions": [[0.000, 0.000, 0.000], [0.625, 0.375, 0.000], [0.067, 0.445, 0.603], [0.555, 0.933, 0.397], [0.246, 0.298, 0.791], [0.306, 0.694, 0.500], [0.381, 0.083, 0.205], [0.702, 0.754, 0.209], [0.731, 0.105, 0.718], [0.895, 0.269, 0.282], [0.917, 0.619, 0.795]], "formation_energy_ev_per_fu": -25.52, "crystal_system": "monoclinic", "spacegroup": "C2 (5)", "energy_mp2020_ev_per_fu": -96.65}

Record 7
{"formula": "Mn5VO8", "functional": "PBE with a Hubbard U", "state": "optimized geometry", "lattice_angstrom": [[5.502, 0.000, 0.000], [-0.051, 6.314, 0.000], [-1.704, -3.050, 9.798]], "species": ["Mn", "Mn", "Mn", "Mn", "Mn", "Mn", "Mn", "Mn", "Mn", "Mn", "V", "V", "O", "O", "O", "O", "O", "O", "O", "O", "O", "O", "O", "O", "O", "O", "O", "O"], "fractional_positions": [[0.000, 0.000, 0.000], [0.000, 0.500, 0.000], [0.243, 0.365, 0.733], [0.250, 0.378, 0.263], [0.256, 0.890, 0.264], [0.496, 0.749, 0.997], [0.504, 0.251, 0.003], [0.744, 0.110, 0.736], [0.750, 0.622, 0.737], [0.757, 0.635, 0.267], [0.201, 0.787, 0.572], [0.799, 0.213, 0.428], [0.080, 0.184, 0.369], [0.098, 0.209, 0.893], [0.112, 0.645, 0.878], [0.137, 0.695, 0.387], [0.326, 0.057, 0.111], [0.365, 0.044, 0.632], [0.369, 0.594, 0.633], [0.393, 0.574, 0.140], [0.607, 0.426, 0.860], [0.631, 0.406, 0.367], [0.635, 0.956, 0.368], [0.674, 0.943, 0.889], [0.863, 0.305, 0.613], [0.888, 0.355, 0.122], [0.902, 0.791, 0.107], [0.920, 0.816, 0.631]], "formation_energy_ev_per_fu": -29.96, "crystal_system": "triclinic", "spacegroup": "P-1 (2)", "energy_mp2020_ev_per_fu": -124.43}

Record 8
{"formula": "MnV3O8", "functional": "PBE with a Hubbard U", "state": "optimized geometry", "lattice_angstrom": [[6.016, -1.904, 0.000], [6.016, 1.904, 0.000], [-1.907, 0.000, 6.358]], "species": ["Mn", "V", "V", "V", "O", "O", "O", "O", "O", "O", "O", "O"], "fractional_positions": [[0.000, 0.000, 0.000], [0.106, 0.106, 0.588], [0.305, 0.305, 0.011], [0.408, 0.408, 0.585], [0.078, 0.078, 0.330], [0.154, 0.154, 0.952], [0.262, 0.262, 0.677], [0.348, 0.348, 0.319], [0.465, 0.465, 0.951], [0.575, 0.575, 0.618], [0.843, 0.843, 0.016], [0.949, 0.949, 0.644]], "formation_energy_ev_per_fu": -27.75, "crystal_system": "monoclinic", "spacegroup": "Cm (8)", "energy_mp2020_ev_per_fu": -103.75}